TlHg3As2Cl3 | Materials Project | PBE-GGA | optimized geometry; total DFT energy (no corrections) = -2.497 eV/atom; formation enthalpy at 0 K = -0.686 eV/atom
1.0
-5.3900 -3.2652 -0.6997
4.1256 -4.4481 -11.0228
5.2154 -9.8820 5.9397
Cl As Hg Tl
12 8 12 4
Direct
0.5471 0.7500 0.7955 Cl
0.4529 0.7500 0.2955 Cl
0.1038 0.7500 0.0031 Cl
0.8962 0.7500 0.5031 Cl
0.9025 0.5000 0.7500 Cl
0.5471 0.2500 0.7045 Cl
0.4529 0.2500 0.2045 Cl
0.0975 0.0000 0.2500 Cl
0.9025 0.0000 0.7500 Cl
0.0975 0.5000 0.2500 Cl
0.1038 0.2500 0.4969 Cl
0.8962 0.2500 0.9969 Cl
0.3789 0.4494 0.9442 As
0.6211 0.4494 0.4442 As
0.6211 0.5506 0.0558 As
0.3789 0.0506 0.9442 As
0.6211 0.0506 0.4442 As
0.3789 0.9494 0.5558 As
0.6211 0.9494 0.0558 As
0.3789 0.5506 0.5558 As
0.0000 0.0000 0.5000 Hg
0.5501 0.7500 0.0203 Hg
0.4577 0.0000 0.7500 Hg
0.5501 0.2500 0.4797 Hg
0.5423 0.0000 0.2500 Hg
0.4577 0.5000 0.7500 Hg
0.0000 0.0000 0.0000 Hg
0.0000 0.5000 0.0000 Hg
0.0000 0.5000 0.5000 Hg
0.4499 0.7500 0.5203 Hg
0.4499 0.2500 0.9797 Hg
0.5423 0.5000 0.2500 Hg
0.9827 0.2500 0.2476 Tl
0.9827 0.7500 0.2524 Tl
0.0173 0.2500 0.7476 Tl
0.0173 0.7500 0.7524 Tl